DFT (PBE) results for crystalline Lu2TiO5 at its relaxed geometry.

It has space group Pnma (No. 62), with a = 7.3873 Å, b = 3.5645 Å, c = 15.2531 Å, α = 90.00°, β = 90.00° and γ = 90.00°. The asymmetric unit holds Lu at (0.0980, 0.2500, 0.0847), Lu at (0.1663, 0.2500, 0.7375), Ti at (0.1129, 0.2500, 0.4227), O at (0.0655, 0.7500, 0.1750), O at (0.0734, 0.7500, 0.4531), O at (0.1261, 0.7500, 0.6487), O at (0.1549, 0.7500, 0.9957) and O at (0.2449, 0.2500, 0.3205).

As for the energy of formation: -3.895 eV/atom. Its polymorph energy (0 for the lowest one) is 0.55 kcal/mol of atoms. For the volume, the calculation gives 12.552 Å³/atom. The calculation puts the density at 7.9 g cm⁻³. Its magnetic moment is 0.000 μB per atom. The crystal system is orthorhombic.